a | Computed, not measured: a relaxed structure of Ca3Ta2O8 at the PBE level of DFT.

Unit cell a=7.2290 b=7.2290 c=9.3073 alpha=90.00 beta=90.00 gamma=123.34
Last column: nearest neighbours and their distance in Å.
Sites, in units of the cell vectors:
O1 0.6639 0.8936 0.5021  1 Ta 1.86
O2 0.1639 0.3936 0.9979  1 Ta 1.86
O3 0.0006 0.9994 0.7484  1 Ta 1.92
O4 0.4994 0.5006 0.2484  1 Ta 1.92
O5 0.6064 0.8361 0.9979  1 Ta 1.86
O6 0.7429 0.2571 0.2211  1 Ta 1.87
O7 0.3361 0.1064 0.4979  1 Ta 1.86
O8 0.5006 0.4994 0.7516  1 Ta 1.92
O9 0.3936 0.1639 0.0021  1 Ta 1.86
O10 0.8361 0.6064 0.0021  1 Ta 1.86
O11 0.2571 0.7429 0.7789  1 Ta 1.87
O12 0.7571 0.2429 0.7211  1 Ta 1.87
O13 0.1064 0.3361 0.5021  1 Ta 1.86
O14 0.8936 0.6639 0.4979  1 Ta 1.86
O15 0.2429 0.7571 0.2789  1 Ta 1.87
O16 0.9994 0.0006 0.2516  1 Ta 1.92
Ta1 0.8837 0.1163 0.6183  4 O 1.86-1.92
Ta2 0.3837 0.6163 0.8817  4 O 1.86-1.92
Ta3 0.6163 0.3837 0.1183  4 O 1.86-1.92
Ta4 0.1163 0.8837 0.3817  4 O 1.86-1.92
Ca1 0.6094 0.8906 0.2500  6 O 2.28-2.47
Ca2 0.5000 0.5000 0.5000  6 O 2.34-2.41
Ca3 0.8906 0.6094 0.7500  6 O 2.28-2.47
Ca4 0.0000 0.0000 0.0000  6 O 2.34-2.41
Ca5 0.1094 0.3906 0.2500  6 O 2.28-2.47
Ca6 0.3906 0.1094 0.7500  6 O 2.28-2.47

Summary:
Total magnetization   0.0 Bohr magnetons per cell



b | Computed, not measured: a relaxed structure of Ca3Ta2O8 at the PBE level of DFT.

Unit cell a=9.7549 b=9.7549 c=9.7549 alpha=105.64 beta=105.64 gamma=117.44
Last column: nearest neighbours and their distance in Å.
Sites, in units of the cell vectors:
Ta1 0.6952 0.9195 0.6143  5 O 1.91-2.14
Ta2 0.3309 0.4452 0.2757  5 O 1.91-2.14
Ta3 0.9191 0.3048 0.2243  5 O 1.91-2.14
Ta4 0.1695 0.0552 0.7243  5 O 1.91-2.14
Ta5 0.3052 0.0809 0.3857  5 O 1.91-2.14
Ta6 0.0805 0.6948 0.7757  5 O 1.91-2.14
Ta7 0.5548 0.8305 0.8857  5 O 1.91-2.14
Ta8 0.9448 0.6691 0.1143  5 O 1.91-2.14
O1 0.4554 0.3752 0.1902  1 Ta 1.91
O2 0.2123 0.8251 0.3089  2 Ta 2.04-2.20, 1 Ca 2.18
O3 0.0650 0.4848 0.6902  1 Ta 1.91
O4 0.4316 0.5818 0.7697  1 Ta 1.93
O5 0.5162 0.9034 0.6911  2 Ta 2.04-2.20, 1 Ca 2.18
O6 0.4379 0.0881 0.2697  1 Ta 1.93
O7 0.7338 0.8466 0.8089  2 Ta 2.04-2.20, 1 Ca 2.18
O8 0.1749 0.4838 0.3872  2 Ta 2.04-2.20, 1 Ca 2.18
O9 0.8121 0.6619 0.2303  1 Ta 1.93
O10 0.3168 0.2923 0.3991  2 Ta 1.98-2.14
O11 0.1677 0.0668 0.5245  2 Ta 1.98-2.14
O12 0.0823 0.6832 0.9755  2 Ta 1.98-2.14
O13 0.5423 0.6432 0.4755  2 Ta 1.98-2.14
O14 0.8932 0.9177 0.6009  2 Ta 1.98-2.14
O15 0.4182 0.1879 0.8497  1 Ta 1.93
O16 0.7077 0.1068 0.0245  2 Ta 1.98-2.14
O17 0.1534 0.9623 0.8872  2 Ta 2.04-2.20, 1 Ca 2.18
O18 0.1850 0.2652 0.8098  1 Ta 1.91
O19 0.0751 0.2662 0.1128  2 Ta 2.04-2.20, 1 Ca 2.18
O20 0.7348 0.5446 0.9198  1 Ta 1.91
O21 0.3381 0.5684 0.1503  1 Ta 1.93
O22 0.9119 0.1816 0.3497  1 Ta 1.93
O23 0.6252 0.9350 0.4198  1 Ta 1.91
O24 0.8184 0.1682 0.7303  1 Ta 1.93
O25 0.5152 0.2054 0.5802  1 Ta 1.91
O26 0.3568 0.8323 0.8991  2 Ta 1.98-2.14
O27 0.0377 0.9249 0.1911  2 Ta 2.04-2.20, 1 Ca 2.18
O28 0.9332 0.4577 0.1009  2 Ta 1.98-2.14
O29 0.0966 0.7877 0.6128  2 Ta 2.04-2.20, 1 Ca 2.18
O30 0.6248 0.8150 0.0802  1 Ta 1.91
O31 0.7946 0.3748 0.3098  1 Ta 1.91
O32 0.8318 0.5621 0.6503  1 Ta 1.93
Ca1 0.7500 0.2500 0.5000  8 O 2.51-2.60
Ca2 0.6522 0.2261 0.8272  3 O 2.22-2.32
Ca3 0.0000 0.0000 0.0000  4 O 2.18
Ca4 0.0750 0.4022 0.9261  3 O 2.22-2.32
Ca5 0.4761 0.1489 0.0739  3 O 2.22-2.32
Ca6 0.5978 0.5239 0.6728  3 O 2.22-2.32
Ca7 0.2500 0.7500 0.5000  4 O 2.18
Ca8 0.5000 0.5000 0.0000  8 O 2.51-2.60
Ca9 0.8511 0.9250 0.3272  3 O 2.22-2.32
Ca10 0.3989 0.8250 0.1728  3 O 2.22-2.32
Ca11 0.7739 0.6011 0.4261  3 O 2.22-2.32
Ca12 0.1750 0.3478 0.5739  3 O 2.22-2.32

Summary:
Total magnetization   0.0 Bohr magnetons per cell



It turns out b is the most stable, with the second structure 39 meV/atom higher.



a | Computed, not measured: a relaxed structure of La2Ti3O9 at the PBE level of DFT.

Unit cell a=8.7107 b=8.7107 c=9.5997 alpha=57.02 beta=57.02 gamma=36.87
Last column: nearest neighbours and their distance in Å.
Sites, in units of the cell vectors:
O1 0.5000 0.5000 0.0000  2 Ti 2.05
O2 0.0000 0.0000 0.5000  2 Ti 1.93
O3 0.7474 0.2688 0.2356  2 Ti 1.96-2.00
O4 0.5707 0.0942 0.7622  2 Ti 1.96-2.00
O5 0.0942 0.5707 0.7622  2 Ti 1.96-2.00
O6 0.7312 0.2526 0.7644  2 Ti 1.96-2.00
O7 0.8322 0.8322 0.9987  2 Ti 1.99-2.10
O8 0.2688 0.7474 0.2356  2 Ti 1.96-2.00
O9 0.0907 0.5929 0.2246  2 Ti 1.93
O10 0.3458 0.3458 0.4988  2 Ti 1.87-1.89
O11 0.6542 0.6542 0.5012  2 Ti 1.87-1.89
O12 0.1678 0.1678 0.0013  2 Ti 1.99-2.10
O13 0.5929 0.0907 0.2246  2 Ti 1.93
O14 0.9093 0.4071 0.7754  2 Ti 1.93
O15 0.9058 0.4293 0.2378  2 Ti 1.96-2.00
O16 0.2526 0.7312 0.7644  2 Ti 1.96-2.00
O17 0.4293 0.9058 0.2378  2 Ti 1.96-2.00
O18 0.4071 0.9093 0.7754  2 Ti 1.93
Ti1 0.7484 0.7484 0.2653  5 O 1.87-2.00
Ti2 0.9179 0.9179 0.7454  6 O 1.93-1.99
Ti3 0.2516 0.2516 0.7347  5 O 1.87-2.00
Ti4 0.0821 0.0821 0.2546  6 O 1.93-1.99
Ti5 0.5906 0.5906 0.7394  6 O 1.89-2.05
Ti6 0.4094 0.4094 0.2606  6 O 1.89-2.05
La1 0.5000 0.5000 0.5000  12 O 2.55-2.79
La2 0.0000 0.0000 0.0000  12 O 2.63-2.78
La3 0.3330 0.3330 0.0008  12 O 2.63-2.76
La4 0.6670 0.6670 0.9992  12 O 2.63-2.76

Summary:
Total magnetization   0.0 Bohr magnetons per cell



b | Computed, not measured: a relaxed structure of La2Ti3O9 at the PBE level of DFT.

Unit cell a=6.0533 b=8.0275 c=8.7640 alpha=69.24 beta=90.00 gamma=90.00
Last column: nearest neighbours and their distance in Å.
Sites, in units of the cell vectors:
La1 0.7500 0.8056 0.1075  4 O 2.30-2.55
La2 0.7492 0.2119 0.2521  6 O 2.37-2.60
La3 0.2492 0.7881 0.7479  6 O 2.37-2.60
La4 0.2500 0.1944 0.8925  4 O 2.30-2.55
O1 0.2539 0.9998 0.4780  1 Ti 1.76
O2 0.7529 0.3287 0.5854  3 Ti 1.91-2.02
O3 0.9841 0.4663 0.2879  2 Ti 1.88-1.99
O4 0.4922 0.0043 0.1794  1 Ti 1.84
O5 0.2496 0.3689 0.0518  1 Ti 1.78
O6 0.7425 0.6704 0.4178  1 Ti 1.79
O7 0.5052 0.9983 0.8166  1 Ti 1.84
O8 0.9922 0.9957 0.8206  1 Ti 1.84
O9 0.2425 0.3296 0.5822  1 Ti 1.79
O10 0.5149 0.4604 0.2895  2 Ti 1.87-1.98
O11 0.7496 0.6311 0.9482  1 Ti 1.78
O12 0.2529 0.6713 0.4146  3 Ti 1.91-2.02
O13 0.7543 0.2650 0.9642  1 Ti 1.78
O14 0.0052 0.0017 0.1834  1 Ti 1.84
O15 0.0149 0.5396 0.7105  2 Ti 1.87-1.98
O16 0.7539 0.0002 0.5220  1 Ti 1.76
O17 0.4841 0.5337 0.7121  2 Ti 1.88-1.99
O18 0.2543 0.7350 0.0358  1 Ti 1.78
Ti1 0.5212 0.5149 0.4930  4 O 1.79-2.00
Ti2 0.0212 0.4851 0.5070  4 O 1.79-2.00
Ti3 0.2503 0.5083 0.1707  4 O 1.78-1.88
Ti4 0.2503 0.9242 0.3124  4 O 1.76-1.91
Ti5 0.7503 0.0758 0.6876  4 O 1.76-1.91
Ti6 0.7503 0.4917 0.8293  4 O 1.78-1.88

Summary:
Total magnetization   0.0 Bohr magnetons per cell



It turns out a is the most stable, with the second structure 45 meV/atom higher.